# Dy2IrPd GGA-PBE relaxed
data_Dy2IrPd
_chemical_formula_sum 'Dy8 Ir4 Pd4'
_cell_length_a 6.926
_cell_length_b 6.926
_cell_length_c 6.926
_cell_angle_alpha 90.00
_cell_angle_beta 90.00
_cell_angle_gamma 90.00
_space_group_name_H-M_alt 'F m -3 m'
_space_group_IT_number 225
_space_group_name_Hall '-F 4 2 3'
loop_
_atom_site_label
_atom_site_fract_x
_atom_site_fract_y
_atom_site_fract_z
Dy1 0.250 0.250 0.250
Ir1 0.000 0.000 0.000
Pd1 0.000 0.000 0.500
# V: 20.769 Å³/atom
# DFT total energy: -107.55 eV per cell

=====

# Dy2IrRh GGA-PBE relaxed
data_Dy2IrRh
_chemical_formula_sum 'Dy8 Ir4 Rh4'
_cell_length_a 6.864
_cell_length_b 6.864
_cell_length_c 6.864
_cell_angle_alpha 90.00
_cell_angle_beta 90.00
_cell_angle_gamma 90.00
_space_group_name_H-M_alt 'F m -3 m'
_space_group_IT_number 225
_space_group_name_Hall '-F 4 2 3'
loop_
_atom_site_label
_atom_site_fract_x
_atom_site_fract_y
_atom_site_fract_z
Dy1 0.250 0.250 0.250
Ir1 0.000 0.000 0.000
Rh1 0.000 0.000 0.500
# V: 20.216 Å³/atom
# DFT total energy: -115.72 eV per cell

=====

# Dy2IrRu GGA-PBE relaxed
data_Dy2IrRu
_chemical_formula_sum 'Dy8 Ir4 Ru4'
_cell_length_a 6.829
_cell_length_b 6.829
_cell_length_c 6.829
_cell_angle_alpha 90.00
_cell_angle_beta 90.00
_cell_angle_gamma 90.00
_space_group_name_H-M_alt 'F m -3 m'
_space_group_IT_number 225
_space_group_name_Hall '-F 4 2 3'
loop_
_atom_site_label
_atom_site_fract_x
_atom_site_fract_y
_atom_site_fract_z
Dy1 0.250 0.250 0.250
Ir1 0.000 0.000 0.000
Ru1 0.000 0.000 0.500
# V: 19.902 Å³/atom
# DFT total energy: -119.15 eV per cell

=====

# DySbIr GGA-PBE relaxed
data_DySbIr
_chemical_formula_sum 'Dy4 Sb4 Ir4'
_cell_length_a 7.173
_cell_length_b 4.502
_cell_length_c 7.963
_cell_angle_alpha 90.00
_cell_angle_beta 90.00
_cell_angle_gamma 90.00
_space_group_name_H-M_alt 'P n m a'
_space_group_IT_number 62
loop_
_space_group_symop_operation_xyz
'x,y,z'
'-x,-y,-z'
'-x+1/2,-y,z+1/2'
'x+1/2,y,-z+1/2'
'x+1/2,-y+1/2,-z+1/2'
'-x+1/2,y+1/2,z+1/2'
'-x,y+1/2,-z'
'x,-y+1/2,z'
loop_
_atom_site_label
_atom_site_fract_x
_atom_site_fract_y
_atom_site_fract_z
Dy1 0.014 0.250 0.189
Sb1 0.174 0.250 0.586
Ir1 0.212 0.750 0.408
# V: 21.429 Å³/atom
# DFT total energy: -81.08 eV per cell

=====

# Dy5Si10Ir4 GGA-PBE relaxed
data_Dy5Si10Ir4
_chemical_formula_sum 'Dy10 Si20 Ir8'
_cell_length_a 12.629
_cell_length_b 12.629
_cell_length_c 4.274
_cell_angle_alpha 90.00
_cell_angle_beta 90.00
_cell_angle_gamma 90.00
_space_group_name_H-M_alt 'P 4/m b m'
_space_group_IT_number 127
_space_group_name_Hall '-P 4 2ab'
loop_
_atom_site_label
_atom_site_fract_x
_atom_site_fract_y
_atom_site_fract_z
Dy1 0.000 0.000 0.000
Dy2 0.116 0.384 0.500
Dy3 0.176 0.676 0.500
Si1 0.003 0.843 0.500
Si2 0.066 0.566 0.000
Si3 0.163 0.201 0.000
Ir1 0.020 0.755 0.000
# V: 17.938 Å³/atom
# Spin magnetization: 0.002 μB/f.u.
# DFT total energy: -259.21 eV per cell

=====

# SmDyIr2 GGA-PBE relaxed
data_SmDyIr2
_chemical_formula_sum 'Sm4 Dy4 Ir8'
_cell_length_a 6.939
_cell_length_b 6.939
_cell_length_c 6.939
_cell_angle_alpha 90.00
_cell_angle_beta 90.00
_cell_angle_gamma 90.00
_space_group_name_H-M_alt 'F m -3 m'
_space_group_IT_number 225
_space_group_name_Hall '-F 4 2 3'
loop_
_atom_site_label
_atom_site_fract_x
_atom_site_fract_y
_atom_site_fract_z
Sm1 0.000 0.000 0.000
Dy1 0.000 0.000 0.500
Ir1 0.250 0.250 0.250
# V: 20.879 Å³/atom
# Spin magnetization: 0.000 μB/f.u.
# DFT total energy: -119.81 eV per cell

=====

# Dy2ZnIr GGA-PBE relaxed
data_Dy2ZnIr
_chemical_formula_sum 'Dy8 Zn4 Ir4'
_cell_length_a 6.970
_cell_length_b 6.970
_cell_length_c 6.970
_cell_angle_alpha 90.00
_cell_angle_beta 90.00
_cell_angle_gamma 90.00
_space_group_name_H-M_alt 'F m -3 m'
_space_group_IT_number 225
_space_group_name_Hall '-F 4 2 3'
loop_
_atom_site_label
_atom_site_fract_x
_atom_site_fract_y
_atom_site_fract_z
Dy1 0.250 0.250 0.250
Zn1 0.000 0.000 0.000
Ir1 0.000 0.000 0.500
# V: 21.168 Å³/atom
# Spin magnetization: 0.012 μB/f.u.
# DFT total energy: -87.47 eV per cell

=====

# K3Dy GGA-PBE relaxed
data_K3Dy
_chemical_formula_sum 'K6 Dy2'
_cell_length_a 8.6086
_cell_length_b 8.6086
_cell_length_c 7.0792
_cell_angle_alpha 90.00
_cell_angle_beta 90.00
_cell_angle_gamma 120.00
_space_group_name_H-M_alt 'P 63/m m c'
_space_group_IT_number 194
_space_group_name_Hall '-P 6c 2c'
loop_
_atom_site_label
_atom_site_fract_x
_atom_site_fract_y
_atom_site_fract_z
K1 0.1713 0.3426 0.2500
Dy1 0.3333 0.6667 0.7500
# V: 56.793 Å³/atom
# Spin magnetization: 0.248 μB/f.u.
# Energy relative to the lowest polymorph listed for this composition: 0.0 meV/atom

=====

# K3Dy GGA-PBE relaxed
data_K3Dy
_chemical_formula_sum 'K6 Dy2'
_cell_length_a 5.825
_cell_length_b 5.825
_cell_length_c 13.290
_cell_angle_alpha 90.00
_cell_angle_beta 90.00
_cell_angle_gamma 90.00
_space_group_name_H-M_alt 'I 4/m m m'
_space_group_IT_number 139
_space_group_name_Hall '-I 4 2'
loop_
_atom_site_label
_atom_site_fract_x
_atom_site_fract_y
_atom_site_fract_z
K1 0.000 0.000 0.000
K2 0.000 0.500 0.250
Dy1 0.000 0.000 0.500
# V: 56.365 Å³/atom
# Spin magnetization: 0.417 μB/f.u.
# Energy relative to the lowest polymorph listed for this composition: 6.7 meV/atom

=====

# K3Dy GGA-PBE relaxed
data_K3Dy
_chemical_formula_sum 'K12 Dy4'
_cell_length_a 9.713
_cell_length_b 9.713
_cell_length_c 9.713
_cell_angle_alpha 90.00
_cell_angle_beta 90.00
_cell_angle_gamma 90.00
_space_group_name_H-M_alt 'F m -3 m'
_space_group_IT_number 225
_space_group_name_Hall '-F 4 2 3'
loop_
_atom_site_label
_atom_site_fract_x
_atom_site_fract_y
_atom_site_fract_z
K1 0.000 0.000 0.000
K2 0.250 0.250 0.250
Dy1 0.000 0.000 0.500
# V: 57.276 Å³/atom
# Spin magnetization: 0.361 μB/f.u.
# Energy relative to the lowest polymorph listed for this composition: 13.6 meV/atom

=====

# KLaDySbO6 GGA-PBE relaxed
data_KLaDySbO6
_chemical_formula_sum 'K4 La4 Dy4 Sb4 O24'
_cell_length_a 8.374
_cell_length_b 8.374
_cell_length_c 8.374
_cell_angle_alpha 90.00
_cell_angle_beta 90.00
_cell_angle_gamma 90.00
_space_group_name_H-M_alt 'F -4 3 m'
_space_group_IT_number 216
_space_group_name_Hall 'F -4 2 3'
loop_
_atom_site_label
_atom_site_fract_x
_atom_site_fract_y
_atom_site_fract_z
K1 0.000 0.000 0.000
La1 0.000 0.000 0.500
Dy1 0.250 0.250 0.250
Sb1 0.250 0.250 0.750
O1 0.013 0.250 0.750
# V: 14.679 Å³/atom
# Spin magnetization: 0.000 μB/f.u.
# DFT total energy: -277.15 eV per cell

=====

# KPrDyNbO6 GGA-PBE relaxed
data_KPrDyNbO6
_chemical_formula_sum 'K4 Pr4 Dy4 Nb4 O24'
_cell_length_a 8.408
_cell_length_b 8.408
_cell_length_c 8.408
_cell_angle_alpha 90.00
_cell_angle_beta 90.00
_cell_angle_gamma 90.00
_space_group_name_H-M_alt 'F -4 3 m'
_space_group_IT_number 216
_space_group_name_Hall 'F -4 2 3'
loop_
_atom_site_label
_atom_site_fract_x
_atom_site_fract_y
_atom_site_fract_z
K1 0.000 0.000 0.000
Pr1 0.000 0.000 0.500
Dy1 0.250 0.250 0.250
Nb1 0.250 0.250 0.750
O1 0.012 0.250 0.750
# V: 14.862 Å³/atom
# Spin magnetization: 0.000 μB/f.u.
# DFT total energy: -311.83 eV per cell